No. 1
Here is a relaxed structure of CsVH24S2O20 from Materials Project. Energies are from meta-GGA r2SCAN.

ΔH_f (0 K) = -61.4 eV per formula unit

Unit cell a=12.324 b=12.324 c=12.324 alpha=90.00 beta=90.00 gamma=90.00
Fractional positions:
Cs (0.000, 0.000, 0.500)
Cs (0.000, 0.500, 0.000)
Cs (0.500, 0.000, 0.000)
Cs (0.500, 0.500, 0.500)
V (0.500, 0.500, 0.000)
V (0.500, 0.000, 0.500)
V (0.000, 0.500, 0.500)
V (0.000, 0.000, 0.000)
H (0.220, 0.508, 0.232)
H (0.780, 0.008, 0.268)
H (0.280, 0.492, 0.732)
H (0.720, 0.992, 0.768)
H (0.232, 0.220, 0.508)
H (0.268, 0.780, 0.008)
H (0.732, 0.280, 0.492)
H (0.768, 0.720, 0.992)
H (0.508, 0.232, 0.220)
H (0.008, 0.268, 0.780)
H (0.492, 0.732, 0.280)
H (0.992, 0.768, 0.720)
H (0.780, 0.492, 0.768)
H (0.220, 0.992, 0.732)
H (0.720, 0.508, 0.268)
H (0.280, 0.008, 0.232)
H (0.768, 0.780, 0.492)
H (0.732, 0.220, 0.992)
H (0.268, 0.720, 0.508)
H (0.232, 0.280, 0.008)
H (0.492, 0.768, 0.780)
H (0.992, 0.732, 0.220)
H (0.508, 0.268, 0.720)
H (0.008, 0.232, 0.280)
H (0.184, 0.627, 0.223)
H (0.816, 0.127, 0.277)
H (0.316, 0.373, 0.723)
H (0.684, 0.873, 0.777)
H (0.223, 0.184, 0.627)
H (0.277, 0.816, 0.127)
H (0.723, 0.316, 0.373)
H (0.777, 0.684, 0.873)
H (0.627, 0.223, 0.184)
H (0.127, 0.277, 0.816)
H (0.373, 0.723, 0.316)
H (0.873, 0.777, 0.684)
H (0.816, 0.373, 0.777)
H (0.184, 0.873, 0.723)
H (0.684, 0.627, 0.277)
H (0.316, 0.127, 0.223)
H (0.777, 0.816, 0.373)
H (0.723, 0.184, 0.873)
H (0.277, 0.684, 0.627)
H (0.223, 0.316, 0.127)
H (0.373, 0.777, 0.816)
H (0.873, 0.723, 0.184)
H (0.627, 0.277, 0.684)
H (0.127, 0.223, 0.316)
H (0.477, 0.710, 0.936)
H (0.523, 0.210, 0.564)
H (0.023, 0.290, 0.436)
H (0.977, 0.790, 0.064)
H (0.936, 0.477, 0.710)
H (0.564, 0.523, 0.210)
H (0.436, 0.023, 0.290)
H (0.064, 0.977, 0.790)
H (0.710, 0.936, 0.477)
H (0.210, 0.564, 0.523)
H (0.290, 0.436, 0.023)
H (0.790, 0.064, 0.977)
H (0.523, 0.290, 0.064)
H (0.477, 0.790, 0.436)
H (0.977, 0.710, 0.564)
H (0.023, 0.210, 0.936)
H (0.064, 0.523, 0.290)
H (0.436, 0.477, 0.790)
H (0.564, 0.977, 0.710)
H (0.936, 0.023, 0.210)
H (0.290, 0.064, 0.523)
H (0.790, 0.436, 0.477)
H (0.710, 0.564, 0.977)
H (0.210, 0.936, 0.023)
H (0.525, 0.706, 0.061)
H (0.474, 0.206, 0.439)
H (0.974, 0.294, 0.561)
H (0.026, 0.794, 0.939)
H (0.061, 0.526, 0.706)
H (0.439, 0.474, 0.206)
H (0.561, 0.974, 0.294)
H (0.939, 0.025, 0.794)
H (0.706, 0.061, 0.526)
H (0.206, 0.439, 0.475)
H (0.294, 0.561, 0.974)
H (0.794, 0.939, 0.026)
H (0.475, 0.294, 0.939)
H (0.526, 0.794, 0.561)
H (0.026, 0.706, 0.439)
H (0.974, 0.206, 0.061)
H (0.939, 0.474, 0.294)
H (0.561, 0.526, 0.794)
H (0.439, 0.026, 0.706)
H (0.061, 0.975, 0.206)
H (0.294, 0.939, 0.474)
H (0.794, 0.561, 0.525)
H (0.706, 0.439, 0.026)
H (0.206, 0.061, 0.974)
S (0.174, 0.826, 0.326)
S (0.826, 0.326, 0.174)
S (0.326, 0.174, 0.826)
S (0.674, 0.674, 0.674)
S (0.826, 0.174, 0.674)
S (0.174, 0.674, 0.826)
S (0.674, 0.826, 0.174)
S (0.326, 0.326, 0.326)
O (0.244, 0.756, 0.256)
O (0.756, 0.256, 0.244)
O (0.256, 0.244, 0.756)
O (0.744, 0.744, 0.744)
O (0.756, 0.244, 0.744)
O (0.244, 0.744, 0.756)
O (0.744, 0.756, 0.244)
O (0.256, 0.256, 0.256)
O (0.064, 0.778, 0.334)
O (0.936, 0.278, 0.166)
O (0.436, 0.221, 0.834)
O (0.564, 0.722, 0.666)
O (0.334, 0.064, 0.778)
O (0.166, 0.936, 0.279)
O (0.834, 0.436, 0.222)
O (0.666, 0.564, 0.722)
O (0.778, 0.334, 0.064)
O (0.278, 0.166, 0.936)
O (0.222, 0.834, 0.436)
O (0.721, 0.666, 0.564)
O (0.936, 0.222, 0.666)
O (0.064, 0.722, 0.834)
O (0.564, 0.779, 0.166)
O (0.436, 0.278, 0.334)
O (0.666, 0.936, 0.222)
O (0.834, 0.064, 0.721)
O (0.166, 0.564, 0.778)
O (0.334, 0.436, 0.278)
O (0.222, 0.666, 0.936)
O (0.722, 0.834, 0.064)
O (0.778, 0.166, 0.564)
O (0.279, 0.334, 0.436)
O (0.158, 0.553, 0.211)
O (0.842, 0.053, 0.289)
O (0.342, 0.447, 0.711)
O (0.658, 0.947, 0.789)
O (0.211, 0.158, 0.553)
O (0.289, 0.842, 0.053)
O (0.711, 0.342, 0.447)
O (0.789, 0.658, 0.947)
O (0.553, 0.211, 0.158)
O (0.053, 0.289, 0.842)
O (0.447, 0.711, 0.342)
O (0.947, 0.789, 0.658)
O (0.842, 0.447, 0.789)
O (0.158, 0.947, 0.711)
O (0.658, 0.553, 0.289)
O (0.342, 0.053, 0.211)
O (0.789, 0.842, 0.447)
O (0.711, 0.158, 0.947)
O (0.289, 0.658, 0.553)
O (0.211, 0.342, 0.053)
O (0.447, 0.789, 0.842)
O (0.947, 0.711, 0.158)
O (0.553, 0.289, 0.658)
O (0.053, 0.211, 0.342)
O (0.501, 0.662, 0.998)
O (0.499, 0.162, 0.502)
O (0.999, 0.338, 0.498)
O (0.001, 0.838, 0.002)
O (0.998, 0.501, 0.662)
O (0.502, 0.499, 0.162)
O (0.498, 0.999, 0.338)
O (0.002, 0.001, 0.838)
O (0.662, 0.998, 0.501)
O (0.162, 0.502, 0.499)
O (0.338, 0.498, 0.999)
O (0.838, 0.002, 0.001)
O (0.499, 0.338, 0.002)
O (0.501, 0.838, 0.498)
O (0.001, 0.662, 0.502)
O (0.999, 0.162, 0.998)
O (0.002, 0.499, 0.338)
O (0.498, 0.501, 0.838)
O (0.502, 0.001, 0.662)
O (0.998, 0.999, 0.162)
O (0.338, 0.002, 0.499)
O (0.838, 0.498, 0.501)
O (0.662, 0.502, 0.001)
O (0.162, 0.998, 0.999)

=====

No. 2
Here is a relaxed structure of Cs2H6Pt from Materials Project. Energies are from meta-GGA r2SCAN.

ΔH_f (0 K) = -4.2 eV per formula unit

Unit cell a=6.344 b=6.344 c=6.344 alpha=60.00 beta=60.00 gamma=60.00
Fractional positions:
Cs (0.750, 0.750, 0.750)
Cs (0.250, 0.250, 0.250)
H (0.183, 0.817, 0.817)
H (0.183, 0.183, 0.817)
H (0.183, 0.817, 0.183)
H (0.817, 0.183, 0.183)
H (0.817, 0.817, 0.183)
H (0.817, 0.183, 0.817)
Pt (0.000, 0.000, 0.000)

=====

No. 3
Here is a relaxed structure of Cs3H5Pt from Materials Project. Energies are from meta-GGA r2SCAN.

ΔH_f (0 K) = -3.8 eV per formula unit

Unit cell a=8.164 b=8.164 c=6.247 alpha=90.00 beta=90.00 gamma=90.00
Fractional positions:
Cs (0.500, 0.500, 0.000)
Cs (0.000, 0.000, 0.000)
Cs (0.185, 0.685, 0.500)
Cs (0.815, 0.315, 0.500)
Cs (0.685, 0.815, 0.500)
Cs (0.315, 0.185, 0.500)
H (0.500, 0.500, 0.500)
H (0.000, 0.000, 0.500)
H (0.602, 0.102, 0.815)
H (0.398, 0.898, 0.815)
H (0.102, 0.398, 0.815)
H (0.898, 0.602, 0.815)
H (0.398, 0.898, 0.185)
H (0.602, 0.102, 0.185)
H (0.898, 0.602, 0.185)
H (0.102, 0.398, 0.185)
Pt (0.500, 0.000, 0.000)
Pt (0.000, 0.500, 0.000)

=====

No. 4
Here is a relaxed structure of CsHS from Materials Project. Energies are from meta-GGA r2SCAN.

ΔH_f (0 K) = -2.8 eV per formula unit

Unit cell a=7.451 b=7.451 c=7.451 alpha=112.21 beta=112.21 gamma=104.11
Fractional positions:
Cs (0.250, 0.750, 0.500)
Cs (0.267, 0.267, 0.000)
Cs (0.733, 0.733, 0.000)
Cs (0.750, 0.250, 0.500)
H (0.086, 0.242, 0.328)
H (0.242, 0.914, 0.156)
H (0.758, 0.086, 0.844)
H (0.914, 0.758, 0.672)
S (0.242, 0.751, 0.993)
S (0.249, 0.242, 0.490)
S (0.751, 0.758, 0.510)
S (0.758, 0.249, 0.007)

=====

No. 5
Here is a relaxed structure of CsYbH3 from Materials Project. Energies are from meta-GGA r2SCAN.

ΔH_f (0 K) = -1.3 eV per formula unit

Unit cell a=4.429 b=4.429 c=4.429 alpha=90.00 beta=90.00 gamma=90.00
Fractional positions:
Cs (0.500, 0.500, 0.500)
Yb (0.000, 0.000, 0.000)
H (0.500, 0.000, 0.000)
H (0.000, 0.500, 0.000)
H (0.000, 0.000, 0.500)

=====

No. 6
Here is a relaxed structure of Cs3Hg20 from Materials Project. Energies are from meta-GGA r2SCAN.

ΔH_f (0 K) = -3.9 eV per formula unit

Unit cell a=11.372 b=11.372 c=11.372 alpha=90.00 beta=90.00 gamma=90.00
Fractional positions:
Cs (0.000, 0.250, 0.500)
Cs (0.000, 0.750, 0.500)
Cs (0.500, 0.000, 0.750)
Cs (0.500, 0.000, 0.250)
Cs (0.750, 0.500, 0.000)
Cs (0.250, 0.500, 0.000)
Hg (0.500, 0.635, 0.756)
Hg (0.365, 0.756, 0.500)
Hg (0.635, 0.244, 0.500)
Hg (0.000, 0.256, 0.135)
Hg (0.135, 0.000, 0.256)
Hg (0.865, 0.000, 0.256)
Hg (0.000, 0.744, 0.865)
Hg (0.865, 0.000, 0.744)
Hg (0.000, 0.744, 0.135)
Hg (0.000, 0.256, 0.865)
Hg (0.135, 0.000, 0.744)
Hg (0.256, 0.865, 0.000)
Hg (0.744, 0.135, 0.000)
Hg (0.744, 0.865, 0.000)
Hg (0.635, 0.756, 0.500)
Hg (0.365, 0.244, 0.500)
Hg (0.500, 0.365, 0.756)
Hg (0.500, 0.365, 0.244)
Hg (0.244, 0.500, 0.635)
Hg (0.244, 0.500, 0.365)
Hg (0.250, 0.250, 0.250)
Hg (0.750, 0.250, 0.750)
Hg (0.750, 0.750, 0.250)
Hg (0.250, 0.750, 0.750)
Hg (0.750, 0.750, 0.750)
Hg (0.250, 0.750, 0.250)
Hg (0.250, 0.250, 0.750)
Hg (0.750, 0.250, 0.250)
Hg (0.250, 0.000, 0.500)
Hg (0.750, 0.000, 0.500)
Hg (0.000, 0.500, 0.250)
Hg (0.000, 0.500, 0.750)
Hg (0.500, 0.750, 0.000)
Hg (0.500, 0.250, 0.000)
Hg (0.500, 0.635, 0.244)
Hg (0.756, 0.500, 0.365)
Hg (0.756, 0.500, 0.635)
Hg (0.256, 0.135, 0.000)
Hg (0.500, 0.500, 0.500)
Hg (0.000, 0.000, 0.000)

=====

No. 7
Here is a relaxed structure of Cs2Hg3I8 from Materials Project. Energies are from meta-GGA r2SCAN.

ΔH_f (0 K) = -10.6 eV per formula unit

Unit cell a=7.494 b=7.890 c=11.792 alpha=83.95 beta=71.48 gamma=70.80
Fractional positions:
Cs (0.099, 0.455, 0.266)
Cs (0.365, 0.451, 0.735)
Hg (0.018, 0.992, 0.999)
Hg (0.678, 0.083, 0.384)
Hg (0.064, 0.083, 0.615)
I (0.356, 0.721, 0.999)
I (0.930, 0.355, 0.001)
I (0.087, 0.949, 0.387)
I (0.475, 0.944, 0.611)
I (0.536, 0.450, 0.387)
I (0.922, 0.451, 0.616)
I (0.873, 0.902, 0.808)
I (0.684, 0.899, 0.191)

=====

No. 8
Here is a relaxed structure of Cs2Hg3I8O from Materials Project. Energies are from meta-GGA r2SCAN.

ΔH_f (0 K) = -10.0 eV per formula unit

Unit cell a=11.556 b=11.561 c=8.229 alpha=83.03 beta=82.91 gamma=141.92
Fractional positions:
Cs (0.379, 0.132, 0.406)
Cs (0.132, 0.380, 0.406)
Hg (0.077, 0.687, 0.064)
Hg (0.687, 0.077, 0.065)
Hg (0.005, 0.005, 0.984)
I (0.372, 0.372, 0.717)
I (0.916, 0.916, 0.335)
I (0.490, 0.104, 0.920)
I (0.104, 0.490, 0.919)
I (0.931, 0.546, 0.422)
I (0.546, 0.931, 0.422)
I (0.898, 0.703, 0.874)
I (0.702, 0.897, 0.874)
O (0.306, 0.306, 0.517)

=====

No. 9
Here is a relaxed structure of Cs4Sn21Hg2 from Materials Project. Energies are from meta-GGA r2SCAN.

ΔH_f (0 K) = -6.2 eV per formula unit

Unit cell a=12.368 b=12.368 c=12.365 alpha=90.00 beta=90.00 gamma=90.03
Fractional positions:
Cs (0.499, 0.999, 0.250)
Cs (0.001, 0.501, 0.750)
Cs (0.493, 0.507, 0.000)
Cs (0.006, 0.245, 0.250)
Cs (0.755, 0.994, 0.750)
Cs (0.493, 0.507, 0.500)
Cs (0.006, 0.755, 0.250)
Cs (0.245, 0.994, 0.750)
Sn (0.686, 0.183, 0.067)
Sn (0.317, 0.817, 0.433)
Sn (0.684, 0.819, 0.435)
Sn (0.316, 0.184, 0.068)
Sn (0.317, 0.817, 0.067)
Sn (0.686, 0.183, 0.433)
Sn (0.316, 0.184, 0.432)
Sn (0.684, 0.819, 0.065)
Sn (0.181, 0.316, 0.935)
Sn (0.816, 0.684, 0.568)
Sn (0.183, 0.683, 0.567)
Sn (0.817, 0.314, 0.933)
Sn (0.817, 0.314, 0.567)
Sn (0.183, 0.683, 0.933)
Sn (0.816, 0.684, 0.932)
Sn (0.181, 0.316, 0.565)
Sn (0.500, 0.117, 0.944)
Sn (0.616, 0.307, 0.250)
Sn (0.814, 0.000, 0.132)
Sn (0.500, 0.879, 0.564)
Sn (0.379, 0.688, 0.250)
Sn (0.189, 0.000, 0.369)
Sn (0.617, 0.695, 0.250)
Sn (0.814, 0.000, 0.368)
Sn (0.380, 0.315, 0.250)
Sn (0.189, 0.000, 0.131)
Sn (0.500, 0.879, 0.936)
Sn (0.500, 0.117, 0.556)
Sn (0.000, 0.186, 0.868)
Sn (0.121, 0.500, 0.064)
Sn (0.305, 0.383, 0.750)
Sn (0.000, 0.811, 0.631)
Sn (0.883, 0.500, 0.444)
Sn (0.685, 0.620, 0.750)
Sn (0.121, 0.500, 0.436)
Sn (0.312, 0.621, 0.750)
Sn (0.883, 0.500, 0.056)
Sn (0.693, 0.384, 0.750)
Sn (0.000, 0.186, 0.632)
Sn (0.000, 0.811, 0.869)
Sn (0.500, 0.250, 0.750)
Sn (0.750, 0.500, 0.250)
Hg (0.001, 0.999, 0.000)
Hg (0.499, 0.750, 0.750)
Hg (0.250, 0.501, 0.250)
Hg (0.001, 0.999, 0.500)

=====

No. 10
Here is a relaxed structure of Cs2HgTe from Materials Project. Energies are from meta-GGA r2SCAN.

ΔH_f (0 K) = -3.7 eV per formula unit

Unit cell a=6.372 b=6.372 c=6.372 alpha=60.00 beta=60.00 gamma=60.00
Fractional positions:
Cs (0.750, 0.750, 0.750)
Cs (0.250, 0.250, 0.250)
Hg (0.500, 0.500, 0.500)
Te (0.000, 0.000, 0.000)